This record from the Materials Project database describes a relaxed structure of VSbO4. The functional is GGA+U.

a = 5.6499 Å, b = 5.6498 Å, c = 9.1479 Å
α = 87.70°, β = 87.70°, γ = 71.83°
Last column: nearest neighbours and their distance in Å.
Fractional coordinates of all 24 atoms:
O 0.8458 0.8458 0.8512  1 Sb 1.99, 2 V 2.01-2.04
O 0.3458 0.3458 0.3512  1 Sb 1.99, 2 V 2.01-2.04
O 0.5696 0.1752 0.6276  1 Sb 1.99, 2 V 2.01-2.04
O 0.0986 0.0986 0.5930  2 Sb 2.03-2.04, 1 V 2.09
O 0.4363 0.8193 0.3723  2 Sb 2.03-2.04, 1 V 2.09
O 0.3192 0.9362 0.8723  2 Sb 2.03-2.04, 1 V 2.09
O 0.9362 0.3192 0.8723  2 Sb 2.03-2.04, 1 V 2.09
O 0.8193 0.4363 0.3723  2 Sb 2.03-2.04, 1 V 2.09
O 0.6488 0.6488 0.6539  1 Sb 1.99, 2 V 2.01-2.04
O 0.9070 0.9070 0.4015  2 Sb 2.03-2.05, 1 V 2.09
O 0.0696 0.6752 0.1276  1 Sb 1.99, 2 V 2.01-2.04
O 0.4070 0.4070 0.9016  2 Sb 2.03-2.05, 1 V 2.09
O 0.5986 0.5986 0.0930  2 Sb 2.03-2.04, 1 V 2.09
O 0.1487 0.1487 0.1540  1 Sb 1.99, 2 V 2.01-2.04
O 0.1752 0.5696 0.6276  1 Sb 1.99, 2 V 2.01-2.04
O 0.6752 0.0696 0.1276  1 Sb 1.99, 2 V 2.01-2.04
Sb 0.7533 0.7533 0.2466  6 O 1.99-2.05
Sb 0.2534 0.2534 0.7467  6 O 1.99-2.05
Sb 0.6284 0.6284 0.8716  6 O 1.99-2.04
Sb 0.1284 0.1284 0.3716  6 O 1.99-2.04
V 0.8714 0.8714 0.6286  6 O 2.01-2.09
V 0.9965 0.9965 0.0037  6 O 2.01-2.09
V 0.3714 0.3714 0.1285  6 O 2.01-2.09
V 0.4964 0.4964 0.5037  6 O 2.01-2.09

Results
Formation energy: -2.2351 eV per atom
V: 277.10 Å³ per cell

=====

This record from the Materials Project database describes a relaxed structure of MgV4Ge4O16. The functional is GGA+U.

a = 4.8714 Å, b = 5.3064 Å, c = 11.0464 Å
α = 90.29°, β = 90.27°, γ = 92.51°
Last column: nearest neighbours and their distance in Å.
Fractional coordinates of all 25 atoms:
Mg 0.0000 0.0000 0.0000  3 O 1.94-2.04
V 0.5109 0.6757 0.0692  4 O 1.90-2.03
V 0.5617 0.1681 0.2024  3 O 1.77-1.91
V 0.9007 0.2105 0.6798  5 O 1.93-2.11
V 0.9270 0.7142 0.5505  2 O 1.75-1.95
Ge 0.0192 0.6391 0.2851  4 O 1.78-1.98
Ge 0.3715 0.2517 0.4715  4 O 1.76-1.83
Ge 0.4496 0.6737 0.7732  4 O 1.79-1.93
Ge 0.8992 0.4628 0.9025  5 O 1.78-1.91
O 0.0600 0.1846 0.8443  1 Ge 1.82, 1 V 1.98, 1 Mg 2.00
O 0.1500 0.5711 0.6776  1 Ge 1.86, 1 V 1.95
O 0.1635 0.0560 0.5755  1 Ge 1.83, 1 V 1.93
O 0.2069 0.5394 0.4356  2 Ge 1.80-1.98
O 0.2239 0.6634 0.9162  2 Ge 1.87-1.93
O 0.2917 0.5150 0.1907  1 Ge 1.83, 1 V 1.90
O 0.3418 0.0155 0.0915  1 V 1.79, 1 Mg 1.94
O 0.3685 0.0538 0.3430  1 Ge 1.76, 1 V 1.91
O 0.6234 0.3842 0.7875  2 Ge 1.79-1.88
O 0.6717 0.8638 0.6690  1 Ge 1.86, 1 V 2.00
O 0.6862 0.3666 0.5466  1 Ge 1.82, 1 V 2.00
O 0.7119 0.7710 0.9140  2 Ge 1.91-2.06, 1 V 2.03, 1 Mg 2.04
O 0.7715 0.3473 0.0438  1 Ge 1.78
O 0.7929 0.3670 0.2873  1 V 1.77, 1 Ge 1.78
O 0.8163 0.8474 0.1670  1 Ge 2.00, 2 V 2.02-2.18, 1 Mg 2.20
O 0.8396 0.8173 0.4055  1 V 1.75, 1 Ge 1.87

Results
Formation energy: -2.1458 eV per atom
Space-group type: P1
V: 285.27 Å³ per cell
Offset from the most stable computed form: 34 meV per atom

=====

This record from the Materials Project database describes a relaxed structure of LiV3O5F3. The functional is GGA+U.

a = 7.2027 Å, b = 7.2027 Å, c = 5.0951 Å
α = 90.77°, β = 90.77°, γ = 101.48°
Last column: nearest neighbours and their distance in Å.
Fractional coordinates of all 24 atoms:
Li 0.1654 0.8346 0.5000  3 F 2.00-2.15, 3 O 2.10-2.21
Li 0.8346 0.1654 0.0000  3 F 2.00-2.15, 3 O 2.10-2.21
V 0.1685 0.3322 0.4679  3 O 1.75-1.96
V 0.3090 0.6623 0.9689  2 O 1.74-1.93
V 0.3322 0.1685 0.9679  3 O 1.75-1.96
V 0.6623 0.3090 0.4689  2 O 1.74-1.93
V 0.6854 0.7985 0.5084  3 O 1.77-1.96
V 0.7985 0.6854 0.0084  3 O 1.77-1.96
O 0.1972 0.5647 0.6808  1 V 1.74
O 0.2949 0.4166 0.1527  3 V 1.90-2.07
O 0.3116 0.9298 0.8765  1 V 1.75
O 0.4166 0.2949 0.6527  3 V 1.90-2.07
O 0.5615 0.6840 0.8337  3 V 1.91-2.00
O 0.5647 0.1972 0.1808  1 V 1.74
O 0.6840 0.5615 0.3337  3 V 1.91-2.00
O 0.7998 0.9000 0.1807  2 V 1.77-1.96
O 0.9000 0.7998 0.6807  2 V 1.77-1.96
O 0.9298 0.3116 0.3765  1 V 1.75
F 0.0656 0.6810 0.1549  2 V 2.03-2.06, 1 Li 2.10
F 0.0793 0.1865 0.8111  1 Li 2.00, 2 V 2.01-2.09
F 0.1865 0.0793 0.3111  1 Li 2.00, 2 V 2.01-2.09
F 0.4259 0.7904 0.3314  2 V 2.05-2.14, 1 Li 2.15
F 0.6810 0.0656 0.6549  2 V 2.03-2.06, 1 Li 2.10
F 0.7904 0.4259 0.8314  2 V 2.05-2.14, 1 Li 2.15

Results
Formation energy: -2.6828 eV per atom
Space-group type: Cc
V: 258.98 Å³ per cell
Offset from the most stable computed form: 7 meV per atom

=====

Please write out number 1 again, unchanged.
This record from the Materials Project database describes a relaxed structure of VSbO4. The functional is GGA+U.

a = 5.6499 Å, b = 5.6498 Å, c = 9.1479 Å
α = 87.70°, β = 87.70°, γ = 71.83°
Last column: nearest neighbours and their distance in Å.
Fractional coordinates of all 24 atoms:
O 0.8458 0.8458 0.8512  1 Sb 1.99, 2 V 2.01-2.04
O 0.3458 0.3458 0.3512  1 Sb 1.99, 2 V 2.01-2.04
O 0.5696 0.1752 0.6276  1 Sb 1.99, 2 V 2.01-2.04
O 0.0986 0.0986 0.5930  2 Sb 2.03-2.04, 1 V 2.09
O 0.4363 0.8193 0.3723  2 Sb 2.03-2.04, 1 V 2.09
O 0.3192 0.9362 0.8723  2 Sb 2.03-2.04, 1 V 2.09
O 0.9362 0.3192 0.8723  2 Sb 2.03-2.04, 1 V 2.09
O 0.8193 0.4363 0.3723  2 Sb 2.03-2.04, 1 V 2.09
O 0.6488 0.6488 0.6539  1 Sb 1.99, 2 V 2.01-2.04
O 0.9070 0.9070 0.4015  2 Sb 2.03-2.05, 1 V 2.09
O 0.0696 0.6752 0.1276  1 Sb 1.99, 2 V 2.01-2.04
O 0.4070 0.4070 0.9016  2 Sb 2.03-2.05, 1 V 2.09
O 0.5986 0.5986 0.0930  2 Sb 2.03-2.04, 1 V 2.09
O 0.1487 0.1487 0.1540  1 Sb 1.99, 2 V 2.01-2.04
O 0.1752 0.5696 0.6276  1 Sb 1.99, 2 V 2.01-2.04
O 0.6752 0.0696 0.1276  1 Sb 1.99, 2 V 2.01-2.04
Sb 0.7533 0.7533 0.2466  6 O 1.99-2.05
Sb 0.2534 0.2534 0.7467  6 O 1.99-2.05
Sb 0.6284 0.6284 0.8716  6 O 1.99-2.04
Sb 0.1284 0.1284 0.3716  6 O 1.99-2.04
V 0.8714 0.8714 0.6286  6 O 2.01-2.09
V 0.9965 0.9965 0.0037  6 O 2.01-2.09
V 0.3714 0.3714 0.1285  6 O 2.01-2.09
V 0.4964 0.4964 0.5037  6 O 2.01-2.09

Results
Formation energy: -2.2351 eV per atom
V: 277.10 Å³ per cell